r²SCAN GdAl4Ni, optimized geometry; energy relative to the elements = -55.1 kJ/mol of atoms; electronic total energy = -0.5251 Ha/atom
1.0
-6.2222 0.7267 4.9619
5.4426 -4.5167 -3.7205
4.1149 0.8051 5.0421
Gd Al Ni
2 8 2
direct
0.8836 0.1164 0.7500
0.1164 0.8836 0.2500
0.5000 0.5000 0.0000
0.5000 0.5000 0.5000
0.0776 0.9224 0.7500
0.9224 0.0776 0.2500
0.6901 0.3099 0.9470
0.3099 0.6901 0.0530
0.6901 0.3099 0.5530
0.3099 0.6901 0.4470
0.2259 0.7741 0.7500
0.7741 0.2259 0.2500


r²SCAN PrAu, optimized geometry; energy relative to the elements = -79.4 kJ/mol of atoms; electronic total energy = -1.5000 Ha/atom
1.0
-2.0285 -2.8707 -1.2279
3.1194 -1.9261 -0.6503
-0.1338 -1.3830 3.4544
Pr Au
1 1
direct
0.5000 0.5000 0.5000
0.0000 0.0000 0.0000